(1)
# NaZrCu3Se4, optimized geometry, DFT PBE
# E	-0.173	Ha/atom
# crystal system	cubic
# energy of formation	-891	meV/atom
data_NaZrCu3Se4
_chemical_formula_sum 'Na1 Zr1 Cu3 Se4'
_cell_length_a 6.035
_cell_length_b 6.035
_cell_length_c 6.035
_cell_angle_alpha 90.00
_cell_angle_beta 90.00
_cell_angle_gamma 90.00
_symmetry_space_group_name_H-M 'P 1'
_symmetry_Int_Tables_number 1
loop_
_symmetry_equiv_pos_as_xyz
'x,y,z'
loop_
_atom_site_label
_atom_site_fract_x
_atom_site_fract_y
_atom_site_fract_z
Se1 0.240 0.240 0.240
Na1 0.500 0.500 0.500
Cu1 0.500 0.000 0.000
Se2 0.760 0.240 0.760
Cu2 0.000 0.500 0.000
Se3 0.760 0.760 0.240
Se4 0.240 0.760 0.760
Zr1 0.000 0.000 0.000
Cu3 0.000 0.000 0.500

(2)
# Mg3Ru, optimized geometry, DFT PBE
# E	-0.129	Ha/atom
# crystal system	tetragonal
# energy of formation	13	meV/atom
data_Mg3Ru
_chemical_formula_sum 'Mg3 Ru1'
_cell_length_a 5.129
_cell_length_b 5.129
_cell_length_c 5.129
_cell_angle_alpha 133.31
_cell_angle_beta 133.31
_cell_angle_gamma 68.17
_symmetry_space_group_name_H-M 'P 1'
_symmetry_Int_Tables_number 1
loop_
_symmetry_equiv_pos_as_xyz
'x,y,z'
loop_
_atom_site_label
_atom_site_fract_x
_atom_site_fract_y
_atom_site_fract_z
Mg1 0.500 0.500 0.000
Mg2 0.750 0.250 0.500
Mg3 0.250 0.750 0.500
Ru1 0.000 0.000 0.000

(3)
# SnO2, optimized geometry, DFT PBE
# E	-0.223	Ha/atom
# crystal system	monoclinic
# energy of formation	-1885	meV/atom
data_SnO2
_chemical_formula_sum 'Sn16 O32'
_cell_length_a 6.089
_cell_length_b 6.089
_cell_length_c 20.944
_cell_angle_alpha 79.59
_cell_angle_beta 79.59
_cell_angle_gamma 65.56
_symmetry_space_group_name_H-M 'P 1'
_symmetry_Int_Tables_number 1
loop_
_symmetry_equiv_pos_as_xyz
'x,y,z'
loop_
_atom_site_label
_atom_site_fract_x
_atom_site_fract_y
_atom_site_fract_z
O1 0.450 0.934 0.686
O2 0.821 0.821 0.569
O3 0.164 0.649 0.443
Sn1 0.146 0.146 0.533
O4 0.661 0.661 0.432
O5 0.905 0.905 0.180
O6 0.406 0.406 0.180
O7 0.684 0.684 0.924
Sn2 0.403 0.898 0.866
O8 0.310 0.310 0.573
O9 0.550 0.550 0.325
O10 0.713 0.216 0.935
Sn3 0.821 0.821 0.473
O11 0.801 0.316 0.564
Sn4 0.227 0.227 0.252
Sn5 0.625 0.125 0.624
Sn6 0.998 0.998 0.993
O12 0.934 0.450 0.686
Sn7 0.113 0.613 0.123
O13 0.216 0.713 0.935
O14 0.093 0.093 0.811
O15 0.019 0.518 0.309
Sn8 0.501 0.501 0.994
O16 0.181 0.181 0.924
Sn9 0.341 0.837 0.382
O17 0.050 0.050 0.326
O18 0.937 0.937 0.676
O19 0.152 0.152 0.436
O20 0.321 0.321 0.065
O21 0.793 0.289 0.051
O22 0.428 0.428 0.680
O23 0.935 0.434 0.194
Sn10 0.898 0.403 0.866
O24 0.434 0.935 0.194
Sn11 0.103 0.103 0.714
O25 0.316 0.801 0.564
O26 0.594 0.078 0.809
Sn12 0.125 0.625 0.624
O27 0.518 0.019 0.309
Sn13 0.837 0.341 0.382
Sn14 0.613 0.113 0.123
O28 0.820 0.820 0.065
O29 0.078 0.594 0.809
Sn15 0.419 0.419 0.778
O30 0.289 0.793 0.051
O31 0.649 0.164 0.443
Sn16 0.727 0.727 0.252
O32 0.585 0.585 0.814

(4)
# Lu2ZnIn, optimized geometry, DFT PBE
# E	-0.133	Ha/atom
# crystal system	cubic
# energy of formation	-366	meV/atom
data_Lu2ZnIn
_chemical_formula_sum 'Lu2 Zn1 In1'
_cell_length_a 5.098
_cell_length_b 5.098
_cell_length_c 5.098
_cell_angle_alpha 60.00
_cell_angle_beta 60.00
_cell_angle_gamma 60.00
_symmetry_space_group_name_H-M 'P 1'
_symmetry_Int_Tables_number 1
loop_
_symmetry_equiv_pos_as_xyz
'x,y,z'
loop_
_atom_site_label
_atom_site_fract_x
_atom_site_fract_y
_atom_site_fract_z
Lu1 0.250 0.250 0.250
Zn1 0.000 0.000 0.000
Lu2 0.750 0.750 0.750
In1 0.500 0.500 0.500

(5)
# KICl2, optimized geometry, DFT PBE
# E	-0.098	Ha/atom
# crystal system	monoclinic
# energy of formation	-1383	meV/atom
data_KICl2
_chemical_formula_sum 'K8 I8 Cl16'
_cell_length_a 11.936
_cell_length_b 8.522
_cell_length_c 12.819
_cell_angle_alpha 69.38
_cell_angle_beta 90.00
_cell_angle_gamma 90.00
_symmetry_space_group_name_H-M 'P 1'
_symmetry_Int_Tables_number 1
loop_
_symmetry_equiv_pos_as_xyz
'x,y,z'
loop_
_atom_site_label
_atom_site_fract_x
_atom_site_fract_y
_atom_site_fract_z
I1 0.528 0.101 0.122
K1 0.539 0.533 0.186
K2 0.330 0.108 0.576
I2 0.375 0.695 0.421
Cl1 0.461 0.771 0.584
K3 0.961 0.533 0.686
Cl2 0.961 0.229 0.916
I3 0.125 0.695 0.921
Cl3 0.539 0.229 0.416
I4 0.625 0.305 0.579
Cl4 0.620 0.660 0.930
Cl5 0.798 0.368 0.242
K4 0.830 0.892 0.924
Cl6 0.380 0.340 0.070
Cl7 0.120 0.340 0.570
Cl8 0.175 0.135 0.326
K5 0.170 0.108 0.076
Cl9 0.880 0.660 0.430
I5 0.472 0.899 0.878
Cl10 0.825 0.865 0.674
K6 0.461 0.467 0.814
Cl11 0.325 0.135 0.826
Cl12 0.675 0.865 0.174
Cl13 0.702 0.368 0.742
I6 0.028 0.899 0.378
Cl14 0.202 0.632 0.758
K7 0.039 0.467 0.314
K8 0.670 0.892 0.424
I7 0.875 0.305 0.079
Cl15 0.298 0.632 0.258
I8 0.972 0.101 0.622
Cl16 0.039 0.771 0.084

(6)
# Sm8MgTi4O20, optimized geometry, DFT PBE
# E	-0.305	Ha/atom
# crystal system	monoclinic
# energy of formation	-3568	meV/atom
data_Sm8MgTi4O20
_chemical_formula_sum 'Sm8 Mg1 Ti4 O20'
_cell_length_a 7.869
_cell_length_b 3.700
_cell_length_c 16.019
_cell_angle_alpha 90.00
_cell_angle_beta 89.67
_cell_angle_gamma 90.00
_symmetry_space_group_name_H-M 'P 1'
_symmetry_Int_Tables_number 1
loop_
_symmetry_equiv_pos_as_xyz
'x,y,z'
loop_
_atom_site_label
_atom_site_fract_x
_atom_site_fract_y
_atom_site_fract_z
Ti1 0.143 0.250 0.407
Ti2 0.353 0.750 0.920
O1 0.921 0.250 0.350
O2 0.116 0.750 0.170
O3 0.088 0.750 0.646
O4 0.761 0.250 0.186
Sm1 0.880 0.750 0.258
O5 0.391 0.250 0.687
Sm2 0.855 0.750 0.941
O6 0.227 0.750 0.815
O7 0.123 0.750 0.445
Sm3 0.386 0.750 0.239
O8 0.136 0.750 0.985
O9 0.573 0.750 0.840
O10 0.906 0.250 0.845
Sm4 0.687 0.250 0.761
O11 0.422 0.250 0.147
Ti3 0.842 0.750 0.585
O12 0.621 0.750 0.049
O13 0.615 0.750 0.331
O14 0.684 0.750 0.678
O15 0.357 0.250 0.479
O16 0.878 0.250 0.543
O17 0.864 0.250 0.024
O18 0.631 0.750 0.515
O19 0.268 0.250 0.313
Sm5 0.659 0.250 0.428
Mg1 0.420 0.750 0.737
O20 0.387 0.250 0.957
Sm6 0.159 0.250 0.073
Ti4 0.647 0.250 0.088
Sm7 0.106 0.250 0.738
Sm8 0.334 0.750 0.553

(7)
# Sr3Ta7SiBi9O36, optimized geometry, DFT PBE
# E	-0.285	Ha/atom
# crystal system	triclinic
# energy of formation	-2711	meV/atom
data_Sr3Ta7SiBi9O36
_chemical_formula_sum 'Sr3 Ta7 Si1 Bi9 O36'
_cell_length_a 5.576
_cell_length_b 11.336
_cell_length_c 14.152
_cell_angle_alpha 66.16
_cell_angle_beta 102.36
_cell_angle_gamma 89.76
_symmetry_space_group_name_H-M 'P 1'
_symmetry_Int_Tables_number 1
loop_
_symmetry_equiv_pos_as_xyz
'x,y,z'
loop_
_atom_site_label
_atom_site_fract_x
_atom_site_fract_y
_atom_site_fract_z
O1 0.645 0.395 0.684
Bi1 0.033 0.986 0.593
O2 0.267 0.885 0.505
O3 0.759 0.889 0.497
Si1 0.821 0.694 0.162
O4 0.697 0.227 0.002
O5 0.750 0.403 0.483
O6 0.739 0.141 0.489
O7 0.256 0.132 0.504
O8 0.699 0.704 0.037
O9 0.248 0.402 0.487
O10 0.624 0.000 0.170
O11 0.743 0.639 0.496
Ta1 0.832 0.157 0.165
Bi2 0.983 0.834 0.398
O12 0.323 0.330 0.315
Bi3 0.034 0.473 0.586
O13 0.558 0.757 0.174
O14 0.033 0.802 0.133
Ta2 0.665 0.823 0.832
Bi4 0.251 0.746 0.016
Ta3 0.658 0.331 0.828
Bi5 0.426 0.585 0.394
Sr1 0.768 0.498 0.012
Bi6 0.962 0.366 0.361
O15 0.012 0.127 0.689
O16 0.153 0.559 0.127
O17 0.339 0.830 0.315
O18 0.665 0.458 0.190
O19 0.377 0.437 0.824
Ta4 0.338 0.910 0.170
O20 0.981 0.061 0.314
O21 0.037 0.297 0.142
O22 0.245 0.635 0.501
O23 0.916 0.923 0.878
Ta5 0.158 0.074 0.834
O24 0.095 0.052 0.133
O25 0.291 0.976 0.003
Ta6 0.354 0.399 0.170
O26 0.952 0.587 0.284
Bi7 0.574 0.232 0.579
Bi8 0.419 0.071 0.400
Bi9 0.597 0.720 0.598
Sr2 0.743 0.002 0.997
O27 0.417 0.186 0.832
O28 0.905 0.436 0.866
O29 0.448 0.678 0.844
O30 0.959 0.682 0.881
O31 0.397 0.928 0.840
Ta7 0.169 0.572 0.839
O32 0.309 0.464 0.004
Sr3 0.242 0.246 0.997
O33 0.016 0.651 0.694
O34 0.649 0.889 0.690
O35 0.931 0.182 0.863
O36 0.540 0.234 0.178

(8)
# Li4Mn3Cl10, optimized geometry, DFT PBE
# E	-0.168	Ha/atom
# crystal system	monoclinic
# energy of formation	-1790	meV/atom
data_Li4Mn3Cl10
_chemical_formula_sum 'Li16 Mn12 Cl40'
_cell_length_a 7.453
_cell_length_b 7.453
_cell_length_c 30.737
_cell_angle_alpha 83.32
_cell_angle_beta 83.32
_cell_angle_gamma 60.57
_symmetry_space_group_name_H-M 'P 1'
_symmetry_Int_Tables_number 1
loop_
_symmetry_equiv_pos_as_xyz
'x,y,z'
loop_
_atom_site_label
_atom_site_fract_x
_atom_site_fract_y
_atom_site_fract_z
Cl1 0.356 0.827 0.949
Li1 0.768 0.768 0.174
Mn1 0.098 0.601 0.700
Mn2 0.501 0.501 0.997
Cl2 0.174 0.640 0.051
Cl3 0.054 0.054 0.347
Mn3 0.900 0.400 0.300
Cl4 0.355 0.355 0.949
Mn4 0.500 0.000 0.500
Cl5 0.444 0.971 0.653
Li2 0.233 0.233 0.825
Li3 0.432 0.432 0.227
Cl6 0.372 0.843 0.452
Cl7 0.643 0.643 0.051
Cl8 0.855 0.855 0.945
Li4 0.700 0.700 0.400
Li5 0.500 0.500 0.500
Cl9 0.843 0.372 0.452
Li6 0.900 0.900 0.300
Cl10 0.039 0.575 0.851
Cl11 0.757 0.757 0.748
Mn5 0.694 0.211 0.901
Cl12 0.043 0.043 0.851
Cl13 0.640 0.174 0.051
Cl14 0.771 0.243 0.252
Cl15 0.456 0.456 0.145
Cl16 0.628 0.157 0.548
Li7 0.100 0.100 0.201
Mn6 0.900 0.900 0.796
Li8 0.631 0.631 0.628
Cl17 0.827 0.356 0.949
Li9 0.834 0.834 0.023
Cl18 0.575 0.039 0.851
Li10 0.368 0.368 0.373
Cl19 0.543 0.543 0.855
Cl20 0.443 0.443 0.653
Mn7 0.809 0.296 0.101
Cl21 0.947 0.947 0.652
Li11 0.099 0.099 0.700
Li12 0.300 0.300 0.600
Cl22 0.557 0.557 0.348
Cl23 0.253 0.253 0.746
Mn8 0.601 0.098 0.700
Cl24 0.756 0.222 0.748
Mn9 0.400 0.900 0.300
Cl25 0.029 0.557 0.348
Cl26 0.843 0.843 0.452
Cl27 0.157 0.628 0.548
Mn10 0.211 0.694 0.901
Cl28 0.654 0.654 0.547
Cl29 0.557 0.029 0.348
Cl30 0.971 0.444 0.653
Cl31 0.958 0.432 0.148
Mn11 0.000 0.500 0.500
Cl32 0.746 0.746 0.254
Li13 0.968 0.968 0.573
Li14 0.693 0.693 0.901
Cl33 0.346 0.346 0.453
Cl34 0.222 0.756 0.748
Li15 0.295 0.295 0.101
Mn12 0.296 0.809 0.101
Cl35 0.243 0.771 0.252
Cl36 0.955 0.955 0.149
Cl37 0.143 0.143 0.056
Cl38 0.243 0.243 0.252
Li16 0.032 0.032 0.427
Cl39 0.432 0.958 0.148
Cl40 0.157 0.157 0.548

(9)
# CaSmAl4, optimized geometry, DFT PBE
# E	-0.148	Ha/atom
# crystal system	cubic
# energy of formation	-404	meV/atom
data_CaSmAl4
_chemical_formula_sum 'Ca1 Sm1 Al4'
_cell_length_a 5.650
_cell_length_b 5.650
_cell_length_c 5.650
_cell_angle_alpha 60.00
_cell_angle_beta 60.00
_cell_angle_gamma 60.00
_symmetry_space_group_name_H-M 'P 1'
_symmetry_Int_Tables_number 1
loop_
_symmetry_equiv_pos_as_xyz
'x,y,z'
loop_
_atom_site_label
_atom_site_fract_x
_atom_site_fract_y
_atom_site_fract_z
Al1 0.625 0.625 0.625
Ca1 0.250 0.250 0.250
Sm1 0.000 0.000 0.000
Al2 0.125 0.625 0.625
Al3 0.625 0.625 0.125
Al4 0.625 0.125 0.625

(10)
# EuAl2O4, optimized geometry, DFT PBE
# E	-0.308	Ha/atom
# crystal system	monoclinic
# energy of formation	-3418	meV/atom
data_EuAl2O4
_chemical_formula_sum 'Eu4 Al8 O16'
_cell_length_a 8.890
_cell_length_b 5.207
_cell_length_c 8.495
_cell_angle_alpha 86.63
_cell_angle_beta 90.00
_cell_angle_gamma 90.00
_symmetry_space_group_name_H-M 'P 1'
_symmetry_Int_Tables_number 1
loop_
_symmetry_equiv_pos_as_xyz
'x,y,z'
loop_
_atom_site_label
_atom_site_fract_x
_atom_site_fract_y
_atom_site_fract_z
Al1 0.169 0.197 0.680
Al2 0.168 0.221 0.291
Al3 0.669 0.803 0.320
O1 0.718 0.887 0.514
O2 0.170 0.563 0.267
Eu1 0.999 0.746 0.487
Al4 0.830 0.292 0.189
O3 0.164 0.899 0.794
Al5 0.337 0.727 0.201
O4 0.884 0.363 0.991
Eu2 0.499 0.254 0.513
O5 0.317 0.405 0.730
O6 0.670 0.437 0.733
O7 0.384 0.637 0.009
Al6 0.837 0.273 0.799
Al7 0.668 0.779 0.709
O8 0.664 0.101 0.206
O9 0.817 0.595 0.270
O10 0.795 0.939 0.830
O11 0.295 0.061 0.170
Al8 0.330 0.708 0.811
O12 0.991 0.345 0.671
O13 0.491 0.655 0.329
Eu3 0.491 0.198 0.974
O14 0.483 0.898 0.735
O15 0.983 0.102 0.265
O16 0.218 0.113 0.486
Eu4 0.991 0.802 0.026

(11)
# BaYBr5, optimized geometry, DFT PBE
# E	-0.160	Ha/atom
# crystal system	monoclinic
# energy of formation	-2367	meV/atom
data_BaYBr5
_chemical_formula_sum 'Ba2 Y2 Br10'
_cell_length_a 10.631
_cell_length_b 10.631
_cell_length_c 7.253
_cell_angle_alpha 89.05
_cell_angle_beta 89.05
_cell_angle_gamma 147.52
_symmetry_space_group_name_H-M 'P 1'
_symmetry_Int_Tables_number 1
loop_
_symmetry_equiv_pos_as_xyz
'x,y,z'
loop_
_atom_site_label
_atom_site_fract_x
_atom_site_fract_y
_atom_site_fract_z
Br1 0.195 0.819 0.002
Y1 0.923 0.077 0.250
Br2 0.805 0.181 0.998
Br3 0.181 0.805 0.498
Br4 0.629 0.371 0.750
Br5 0.819 0.195 0.502
Br6 0.725 0.789 0.596
Br7 0.211 0.275 0.904
Br8 0.371 0.629 0.250
Br9 0.275 0.211 0.404
Ba1 0.672 0.328 0.250
Br10 0.789 0.725 0.096
Ba2 0.328 0.672 0.750
Y2 0.077 0.923 0.750

(12)
# Na3B20, optimized geometry, DFT PBE
# E	-0.222	Ha/atom
# crystal system	orthorhombic
# energy of formation	-60	meV/atom
data_Na3B20
_chemical_formula_sum 'Na3 B20'
_cell_length_a 9.771
_cell_length_b 9.771
_cell_length_c 4.149
_cell_angle_alpha 90.00
_cell_angle_beta 90.00
_cell_angle_gamma 146.15
_symmetry_space_group_name_H-M 'P 1'
_symmetry_Int_Tables_number 1
loop_
_symmetry_equiv_pos_as_xyz
'x,y,z'
loop_
_atom_site_label
_atom_site_fract_x
_atom_site_fract_y
_atom_site_fract_z
Na1 0.364 0.636 0.000
B1 0.256 0.744 0.500
B2 0.744 0.256 0.500
B3 0.298 0.392 0.500
B4 0.500 0.500 0.202
B5 0.608 0.702 0.500
B6 0.702 0.608 0.500
B7 0.174 0.826 0.208
B8 0.500 0.500 0.798
B9 0.174 0.826 0.792
B10 0.569 0.974 0.500
B11 0.974 0.569 0.500
B12 0.265 0.035 0.500
B13 0.965 0.735 0.500
B14 0.035 0.265 0.500
B15 0.735 0.965 0.500
B16 0.431 0.026 0.500
Na2 0.000 0.000 0.000
B17 0.392 0.298 0.500
B18 0.026 0.431 0.500
Na3 0.636 0.364 0.000
B19 0.826 0.174 0.208
B20 0.826 0.174 0.792

(13)
# Cs2InCuF6, optimized geometry, DFT PBE
# E	-0.158	Ha/atom
# crystal system	cubic
# energy of formation	-2573	meV/atom
data_Cs2InCuF6
_chemical_formula_sum 'Cs2 In1 Cu1 F6'
_cell_length_a 6.324
_cell_length_b 6.324
_cell_length_c 6.324
_cell_angle_alpha 60.00
_cell_angle_beta 60.00
_cell_angle_gamma 60.00
_symmetry_space_group_name_H-M 'P 1'
_symmetry_Int_Tables_number 1
loop_
_symmetry_equiv_pos_as_xyz
'x,y,z'
loop_
_atom_site_label
_atom_site_fract_x
_atom_site_fract_y
_atom_site_fract_z
Cs1 0.250 0.250 0.250
Cu1 0.500 0.500 0.500
F1 0.240 0.240 0.760
F2 0.760 0.240 0.760
In1 0.000 0.000 0.000
F3 0.240 0.760 0.760
F4 0.240 0.760 0.240
F5 0.760 0.760 0.240
F6 0.760 0.240 0.240
Cs2 0.750 0.750 0.750